Mn5CrO12, optimized geometry, DFT PBE with a Hubbard U; uncorrected energy = -7.1447 eV/atom; ΔH_f (0 K) = -1797 meV/atom; magnetization = 17.00 μB per cell; SG = No. 12
1.0
2.520 -4.390 0.000
2.520 4.390 0.000
-0.014 0.000 9.344
Mn Cr O
5 1 12
direct
0.000 0.000 0.000
0.167 0.833 0.500
0.333 0.667 0.000
0.667 0.333 0.000
0.833 0.167 0.500
0.500 0.500 0.500
0.000 0.333 0.103
0.000 0.667 0.897
0.165 0.501 0.603
0.168 0.168 0.397
0.333 0.000 0.103
0.333 0.333 0.897
0.499 0.835 0.397
0.501 0.165 0.603
0.667 0.000 0.897
0.667 0.667 0.103
0.832 0.832 0.603
0.835 0.499 0.397

=====

MnCrO4, optimized geometry, DFT PBE with a Hubbard U; uncorrected energy = -7.2008 eV/atom; energy above the most stable polymorph in this dataset = 32 meV/atom; ΔH_f (0 K) = -1836 meV/atom; magnetization = 20.00 μB per cell; SG = No. 14
1.0
5.449 0.000 0.000
0.000 8.302 0.000
-4.816 0.000 6.820
Mn Cr O
4 4 16
direct
0.118 0.045 0.352
0.118 0.455 0.852
0.882 0.545 0.148
0.882 0.955 0.648
0.382 0.691 0.643
0.382 0.809 0.143
0.618 0.191 0.857
0.618 0.309 0.357
0.174 0.637 0.081
0.174 0.863 0.581
0.211 0.566 0.457
0.211 0.934 0.957
0.280 0.235 0.800
0.280 0.265 0.300
0.416 0.606 0.840
0.416 0.894 0.340
0.584 0.106 0.660
0.584 0.394 0.160
0.720 0.735 0.700
0.720 0.765 0.200
0.789 0.066 0.043
0.789 0.434 0.543
0.826 0.137 0.419
0.826 0.363 0.919

=====

Mn6Cr9O20, optimized geometry, DFT PBE with a Hubbard U; uncorrected energy = -7.9845 eV/atom; ΔH_f (0 K) = -2297 meV/atom; magnetization = 112.00 μB per cell; SG = No. 166
1.0
3.041 1.756 24.876
-3.041 1.756 24.876
0.000 -3.512 24.876
Mn Cr O
12 18 40
direct
0.025 0.025 0.025
0.100 0.100 0.100
0.175 0.175 0.175
0.225 0.225 0.225
0.375 0.375 0.375
0.425 0.425 0.425
0.575 0.575 0.575
0.625 0.625 0.625
0.775 0.775 0.775
0.825 0.825 0.825
0.900 0.900 0.900
0.975 0.975 0.975
0.000 0.500 0.500
0.100 0.100 0.600
0.100 0.600 0.100
0.200 0.700 0.700
0.300 0.300 0.300
0.300 0.300 0.800
0.300 0.800 0.300
0.400 0.900 0.900
0.500 0.000 0.500
0.500 0.500 0.000
0.500 0.500 0.500
0.600 0.100 0.100
0.700 0.200 0.700
0.700 0.700 0.200
0.700 0.700 0.700
0.800 0.300 0.300
0.900 0.400 0.900
0.900 0.900 0.400
0.014 0.569 0.569
0.033 0.033 0.580
0.033 0.580 0.033
0.053 0.053 0.053
0.147 0.147 0.147
0.169 0.169 0.615
0.169 0.615 0.169
0.186 0.631 0.631
0.220 0.767 0.767
0.233 0.233 0.780
0.233 0.780 0.233
0.253 0.253 0.253
0.347 0.347 0.347
0.369 0.369 0.814
0.369 0.814 0.369
0.385 0.831 0.831
0.420 0.967 0.967
0.431 0.431 0.986
0.431 0.986 0.431
0.453 0.453 0.453
0.547 0.547 0.547
0.569 0.014 0.569
0.569 0.569 0.014
0.580 0.033 0.033
0.615 0.169 0.169
0.631 0.186 0.631
0.631 0.631 0.186
0.653 0.653 0.653
0.747 0.747 0.747
0.767 0.220 0.767
0.767 0.767 0.220
0.780 0.233 0.233
0.814 0.369 0.369
0.831 0.385 0.831
0.831 0.831 0.385
0.853 0.853 0.853
0.947 0.947 0.947
0.967 0.420 0.967
0.967 0.967 0.420
0.986 0.431 0.431

=====

Repeat the first record exactly.
Mn5CrO12, optimized geometry, DFT PBE with a Hubbard U; uncorrected energy = -7.1447 eV/atom; ΔH_f (0 K) = -1797 meV/atom; magnetization = 17.00 μB per cell; SG = No. 12
1.0
2.520 -4.390 0.000
2.520 4.390 0.000
-0.014 0.000 9.344
Mn Cr O
5 1 12
direct
0.000 0.000 0.000
0.167 0.833 0.500
0.333 0.667 0.000
0.667 0.333 0.000
0.833 0.167 0.500
0.500 0.500 0.500
0.000 0.333 0.103
0.000 0.667 0.897
0.165 0.501 0.603
0.168 0.168 0.397
0.333 0.000 0.103
0.333 0.333 0.897
0.499 0.835 0.397
0.501 0.165 0.603
0.667 0.000 0.897
0.667 0.667 0.103
0.832 0.832 0.603
0.835 0.499 0.397